*one*
DFT (GGA+U) results for a relaxed structure of MgCo6O7F5.

abc: 5.060 5.011 8.633
angles: 88.41 92.88 102.00
Fractional positions:
O 0.310 0.311 0.338
O 0.171 0.825 0.481
O 0.861 0.180 0.157
O 0.659 0.715 0.660
O 0.711 0.665 0.996
O 0.313 0.284 0.990
O 0.289 0.321 0.659
Mg 0.042 0.505 0.011
F 0.152 0.800 0.841
F 0.816 0.201 0.478
F 0.180 0.794 0.162
F 0.681 0.716 0.330
F 0.828 0.226 0.832
Co 0.021 0.018 0.340
Co 0.511 0.484 0.821
Co 0.428 0.555 0.500
Co 0.563 0.389 0.177
Co 0.990 0.002 0.646
Co 0.987 0.994 0.995

Computed properties:
**Crystal system**: triclinic


*two*
DFT (GGA+U) results for a relaxed structure of MgCo6O7F5.

abc: 5.077 7.630 5.795
angles: 100.77 101.06 79.92
Fractional positions:
Mg 0.485 0.676 0.666
Co 0.484 0.312 0.857
Co 0.997 0.316 0.333
Co 0.580 0.030 0.432
Co 0.990 0.656 0.664
Co 0.992 0.994 0.002
Co 0.493 0.663 0.166
O 0.306 0.234 0.542
O 0.306 0.900 0.193
O 0.700 0.429 0.141
O 0.676 0.769 0.457
O 0.317 0.556 0.871
O 0.822 0.096 0.274
O 0.709 0.097 0.786
F 0.194 0.229 0.051
F 0.217 0.570 0.392
F 0.781 0.445 0.618
F 0.181 0.879 0.725
F 0.771 0.758 0.938

Computed properties:
**Crystal system**: triclinic


*three*
DFT (GGA+U) results for a relaxed structure of MgCo6O7F5.

abc: 5.181 7.654 5.737
angles: 99.94 99.91 83.67
Fractional positions:
Co 0.955 0.986 0.994
Co 0.566 0.682 0.111
Co 0.569 0.024 0.459
Co 0.978 0.685 0.654
Co 0.493 0.321 0.837
Co 0.981 0.301 0.369
F 0.307 0.903 0.186
F 0.838 0.433 0.665
F 0.139 0.550 0.375
F 0.156 0.895 0.710
F 0.166 0.237 0.036
O 0.795 0.089 0.286
O 0.681 0.097 0.784
O 0.832 0.736 0.957
O 0.308 0.555 0.871
O 0.324 0.221 0.537
O 0.698 0.428 0.123
O 0.687 0.779 0.444
Mg 0.027 0.486 0.019

Computed properties:
**Crystal system**: triclinic


We find *two* to be the most stable, with the next structure 1.9 kJ/mol of atoms higher.


*one*
DFT (GGA+U) results for a relaxed structure of MgCo6O6F6.

abc: 5.068 5.130 8.625
angles: 89.70 89.05 96.64
Fractional positions:
Co 0.590 0.398 0.165
Co 0.974 0.935 0.993
Co 0.401 0.558 0.477
Co 0.025 0.028 0.668
Co 0.426 0.552 0.849
Co 0.041 0.011 0.324
F 0.683 0.733 0.665
F 0.800 0.176 0.501
F 0.731 0.666 0.339
F 0.304 0.279 0.999
F 0.772 0.153 0.829
F 0.180 0.794 0.159
O 0.679 0.653 0.996
O 0.834 0.137 0.161
O 0.229 0.884 0.494
O 0.324 0.312 0.312
O 0.299 0.357 0.674
O 0.211 0.845 0.832
Mg 0.513 0.056 0.657

Computed properties:
**Crystal system**: triclinic


*two*
DFT (GGA+U) results for a relaxed structure of MgCo6O6F6.

abc: 5.065 14.359 3.054
angles: 84.47 90.11 96.45
Fractional positions:
Co 0.911 0.376 0.065
Co 0.972 0.957 0.807
Co 0.741 0.168 0.657
Co 0.882 0.668 0.944
Co 0.362 0.820 0.376
Co 0.402 0.517 0.508
O 0.016 0.094 0.687
O 0.898 0.238 0.126
O 0.146 0.917 0.326
O 0.241 0.449 0.037
O 0.579 0.580 0.980
O 0.191 0.754 0.905
Mg 0.218 0.162 0.157
F 0.703 0.738 0.413
F 0.043 0.598 0.475
F 0.604 0.891 0.845
F 0.700 0.413 0.549
F 0.422 0.233 0.624
F 0.554 0.096 0.184

Computed properties:
**Crystal system**: triclinic


We find *two* to be the most stable, with the next structure 5.1 kJ/mol of atoms higher.


*one*
DFT (GGA+U) results for a relaxed structure of MgCo6O6F6.

abc: 5.177 14.661 2.999
angles: 90.00 90.00 103.92
Fractional positions:
F 0.800 0.426 0.496
F 0.578 0.906 0.994
F 0.422 0.094 0.994
F 0.411 0.250 0.495
F 0.589 0.750 0.495
F 0.200 0.574 0.496
O 0.138 0.777 0.994
O 0.304 0.429 0.996
O 0.887 0.063 0.493
O 0.113 0.937 0.493
O 0.862 0.223 0.994
O 0.696 0.571 0.996
Co 0.500 0.500 0.496
Co 0.000 0.000 0.993
Co 0.781 0.708 0.995
Co 0.315 0.848 0.494
Co 0.219 0.292 0.995
Co 0.685 0.152 0.494
Mg 0.000 0.500 0.996

Computed properties:
**Crystal system**: monoclinic


*two*
DFT (GGA+U) results for a relaxed structure of MgCo6O6F6.

abc: 4.876 4.884 9.098
angles: 91.23 91.67 86.96
Fractional positions:
O 0.859 0.172 0.157
O 0.684 0.677 0.987
O 0.197 0.790 0.836
O 0.192 0.859 0.490
O 0.308 0.302 0.676
O 0.337 0.264 0.333
Co 0.171 0.478 0.495
Co 0.473 0.498 0.838
Co 0.053 0.021 0.308
Co 0.947 0.918 0.997
Co 0.541 0.453 0.165
Co 0.065 0.020 0.687
F 0.731 0.806 0.646
F 0.812 0.207 0.841
F 0.209 0.745 0.155
F 0.739 0.752 0.327
F 0.827 0.273 0.506
F 0.338 0.267 0.995
Mg 0.559 0.999 0.476

Computed properties:
**Crystal system**: triclinic


*three*
DFT (GGA+U) results for a relaxed structure of MgCo6O6F6.

abc: 5.110 14.107 3.024
angles: 84.47 89.63 95.05
Fractional positions:
F 0.603 0.914 0.061
F 0.757 0.754 0.641
F 0.371 0.093 0.944
F 0.904 0.402 0.340
F 0.257 0.250 0.395
F 0.077 0.600 0.708
O 0.751 0.231 0.917
O 0.116 0.936 0.543
O 0.593 0.593 0.217
O 0.288 0.760 0.136
O 0.856 0.071 0.485
O 0.399 0.414 0.823
Co 0.591 0.165 0.413
Co 0.571 0.461 0.314
Co 0.376 0.857 0.590
Co 0.993 0.009 0.010
Co 0.076 0.317 0.874
Co 0.933 0.682 0.172
Mg 0.433 0.660 0.688

Computed properties:
**Crystal system**: triclinic


We find *one* to be the most stable, with the next structure 2.7 kJ/mol of atoms higher.


*one*
DFT (GGA+U) results for a relaxed structure of MgCo6O6F6.

abc: 4.832 4.898 8.945
angles: 88.79 90.82 89.78
Fractional positions:
O 0.668 0.693 0.336
O 0.201 0.798 0.490
O 0.656 0.683 0.995
O 0.337 0.346 0.661
O 0.836 0.211 0.154
O 0.163 0.772 0.841
F 0.832 0.257 0.829
F 0.162 0.715 0.156
F 0.824 0.223 0.501
F 0.696 0.746 0.657
F 0.328 0.280 0.338
F 0.330 0.253 0.995
Co 0.963 0.984 0.333
Co 0.944 0.968 0.991
Co 0.467 0.548 0.497
Co 0.479 0.540 0.821
Co 0.553 0.473 0.178
Co 0.065 0.018 0.661
Mg 0.011 0.478 0.993

Computed properties:
**Crystal system**: triclinic


*two*
DFT (GGA+U) results for a relaxed structure of MgCo6O6F6.

abc: 5.021 4.962 8.622
angles: 88.36 89.36 98.07
Fractional positions:
Mg 0.520 0.034 0.814
F 0.150 0.750 0.159
F 0.877 0.232 0.828
F 0.361 0.208 0.998
F 0.333 0.277 0.314
F 0.663 0.798 0.665
F 0.893 0.230 0.498
O 0.703 0.690 0.334
O 0.159 0.823 0.500
O 0.636 0.701 0.988
O 0.848 0.164 0.163
O 0.143 0.822 0.825
O 0.344 0.289 0.672
Co 0.333 0.520 0.853
Co 0.996 0.975 0.332
Co 0.641 0.449 0.170
Co 0.969 0.949 0.002
Co 0.037 0.025 0.654
Co 0.420 0.563 0.490

Computed properties:
**Crystal system**: triclinic


We find *one* to be the most stable, with the next structure 0.7 kJ/mol of atoms higher.


*one*
DFT (GGA+U) results for a relaxed structure of MgCo6O6F6.

abc: 4.915 4.966 8.834
angles: 91.47 91.77 87.74
Fractional positions:
Mg 0.493 0.973 0.169
F 0.656 0.714 0.675
F 0.813 0.207 0.835
F 0.338 0.234 0.010
F 0.674 0.739 0.332
F 0.183 0.750 0.169
F 0.821 0.240 0.508
O 0.178 0.835 0.502
O 0.653 0.697 0.008
O 0.161 0.800 0.836
O 0.841 0.162 0.166
O 0.345 0.264 0.323
O 0.310 0.321 0.688
Co 0.471 0.535 0.836
Co 0.033 0.040 0.345
Co 0.961 0.951 0.992
Co 0.068 0.042 0.673
Co 0.557 0.458 0.173
Co 0.445 0.509 0.504

Computed properties:
**Crystal system**: triclinic


*two*
DFT (GGA+U) results for a relaxed structure of MgCo6O6F6.

abc: 5.097 14.290 3.059
angles: 90.00 90.00 79.77
Fractional positions:
F 0.316 0.075 0.000
F 0.615 0.731 0.500
F 0.925 0.412 0.500
F 0.684 0.925 0.000
F 0.075 0.588 0.500
F 0.385 0.269 0.500
Co 0.851 0.654 0.000
Co 0.149 0.346 0.000
Co 0.774 0.210 0.500
Co 0.500 0.500 0.500
Co 0.000 0.000 0.000
Co 0.226 0.790 0.500
O 0.817 0.071 0.500
O 0.183 0.929 0.500
O 0.612 0.567 0.000
O 0.076 0.745 0.000
O 0.924 0.255 0.000
O 0.388 0.433 0.000
Mg 0.500 0.000 0.500

Computed properties:
**Crystal system**: monoclinic


*three*
DFT (GGA+U) results for a relaxed structure of MgCo6O6F6.

abc: 5.018 4.964 8.716
angles: 90.01 90.01 80.68
Fractional positions:
Co 0.490 0.539 0.505
Co 0.543 0.465 0.170
Co 0.919 0.928 0.359
Co 0.490 0.539 0.836
Co 0.130 0.087 0.670
Co 0.919 0.928 0.982
F 0.357 0.278 0.017
F 0.188 0.733 0.170
F 0.682 0.722 0.670
F 0.357 0.278 0.324
F 0.809 0.236 0.828
F 0.809 0.236 0.513
O 0.328 0.364 0.670
O 0.806 0.147 0.170
O 0.648 0.684 0.327
O 0.207 0.835 0.504
O 0.207 0.835 0.837
O 0.648 0.684 0.014
Mg 0.448 0.981 0.170

Computed properties:
**Crystal system**: monoclinic


We find *two* to be the most stable, with the next structure 8.3 kJ/mol of atoms higher.


*one*
DFT (GGA+U) results for a relaxed structure of MgCo6O2F10.

abc: 5.007 4.931 9.276
angles: 91.16 92.02 91.98
Fractional positions:
Co 0.043 0.035 0.345
Co 0.501 0.503 0.163
Co 0.959 0.966 0.980
Co 0.000 0.998 0.662
Co 0.512 0.512 0.836
Co 0.488 0.486 0.489
F 0.217 0.837 0.156
F 0.779 0.673 0.320
F 0.289 0.321 0.667
F 0.768 0.167 0.822
F 0.792 0.182 0.495
F 0.709 0.676 0.658
F 0.786 0.165 0.168
F 0.232 0.831 0.503
F 0.208 0.817 0.830
F 0.225 0.329 0.004
O 0.275 0.361 0.313
O 0.728 0.640 0.012
Mg 0.002 0.501 0.162

Computed properties:
**Crystal system**: triclinic


*two*
DFT (GGA+U) results for a relaxed structure of MgCo6O2F10.

abc: 5.273 5.311 9.981
angles: 87.69 73.91 102.55
Fractional positions:
Co 0.017 0.962 0.664
Co 0.294 0.493 0.449
Co 0.990 0.002 0.991
Co 0.654 0.443 0.184
Co 0.473 0.718 0.934
Co 0.038 0.982 0.304
F 0.289 0.339 0.912
F 0.321 0.306 0.619
F 0.724 0.638 0.733
F 0.143 0.804 0.479
F 0.214 0.847 0.105
F 0.838 0.190 0.572
F 0.710 0.678 0.348
F 0.271 0.906 0.794
F 0.858 0.163 0.173
F 0.768 0.099 0.843
Mg 0.561 0.268 0.737
O 0.295 0.291 0.300
O 0.735 0.676 0.024

Computed properties:
**Crystal system**: triclinic


We find *two* to be the most stable, with the next structure 4.6 kJ/mol of atoms higher.